A relaxed structure of Na5Ni2P2C2O14. Source: the Materials Project, functional GGA+U.

a = 8.3801 Å, b = 8.3939 Å, c = 8.9585 Å
α = 90.88°, β = 91.30°, γ = 103.01°
Sites, in units of the cell vectors:
Na 0.0000 0.0000 0.0000
Na 0.0067 0.5159 0.4691
Na 0.2327 0.7595 0.0009
Na 0.2478 0.2659 0.4625
Na 0.3687 0.1216 0.8083
Na 0.3930 0.6671 0.6478
Na 0.5120 0.5161 0.9969
Na 0.7382 0.7774 0.4626
Na 0.7537 0.2809 0.9961
Na 0.8760 0.1529 0.6474
Ni 0.1142 0.3744 0.0761
Ni 0.1445 0.9047 0.3867
Ni 0.6112 0.8778 0.0818
Ni 0.6375 0.3988 0.3868
P 0.3559 0.6195 0.3132
P 0.3938 0.1550 0.1546
P 0.8593 0.1236 0.3092
P 0.8917 0.6573 0.1553
C 0.1055 0.8747 0.6645
C 0.1451 0.4081 0.7954
C 0.6050 0.3693 0.6633
C 0.6472 0.9072 0.8034
O 0.0064 0.7759 0.5734
O 0.0322 0.2946 0.8535
O 0.0404 0.8048 0.1902
O 0.1023 0.8672 0.8069
O 0.1604 0.4199 0.6531
O 0.2131 0.4677 0.2757
O 0.2166 0.9874 0.6023
O 0.2442 0.5073 0.8882
O 0.2697 0.2155 0.0486
O 0.2884 0.7392 0.4145
O 0.3167 0.0824 0.2980
O 0.4268 0.6944 0.1661
O 0.4547 0.0293 0.0530
O 0.4878 0.5644 0.4136
O 0.5032 0.2719 0.5734
O 0.5320 0.7990 0.8672
O 0.5407 0.3040 0.1912
O 0.5941 0.3589 0.8056
O 0.6580 0.9102 0.6621
O 0.7156 0.9749 0.2717
O 0.7193 0.4764 0.5999
O 0.7446 0.0121 0.8925
O 0.7627 0.7179 0.0574
O 0.8037 0.2547 0.4075
O 0.8183 0.5859 0.3031
O 0.9336 0.1941 0.1614
O 0.9510 0.5283 0.0585
O 0.9864 0.0657 0.4128

DFT formation energy: -207.70 kJ/mol of atoms
final energy: -155.84 eV/f.u.